1.
Computed, not measured: crystalline Li2MnSi4O10 at its relaxed geometry at the GGA+U level of DFT.

Computed properties:
- Symmetry: P2_12_12_1

Cell: 7.182 9.583 14.379 Å, 90.00 90.00 90.00°
Positions (direct):
O 0.700 0.514 0.855
O 0.186 0.782 0.361
O 0.416 0.972 0.928
O 0.084 0.083 0.979
O 0.800 0.486 0.355
O 0.084 0.028 0.428
O 0.829 0.012 0.105
O 0.671 0.988 0.605
O 0.512 0.125 0.157
O 0.988 0.875 0.657
O 0.294 0.403 0.719
O 0.916 0.583 0.521
O 0.960 0.310 0.467
O 0.584 0.472 0.572
O 0.794 0.097 0.281
O 0.871 0.492 0.692
O 0.171 0.512 0.395
O 0.416 0.917 0.479
O 0.798 0.735 0.263
O 0.371 0.008 0.308
O 0.200 0.986 0.145
O 0.298 0.765 0.737
O 0.012 0.375 0.843
O 0.629 0.508 0.192
O 0.206 0.597 0.219
O 0.702 0.265 0.763
O 0.314 0.218 0.861
O 0.329 0.488 0.895
O 0.202 0.235 0.237
O 0.584 0.417 0.021
O 0.540 0.690 0.967
O 0.300 0.014 0.645
O 0.916 0.528 0.072
O 0.488 0.625 0.343
O 0.686 0.718 0.639
O 0.706 0.903 0.781
O 0.040 0.810 0.033
O 0.814 0.282 0.139
O 0.460 0.190 0.533
O 0.129 0.992 0.808
Mn 0.489 0.801 0.844
Mn 0.989 0.699 0.156
Mn 0.511 0.301 0.656
Mn 0.011 0.199 0.344
Si 0.464 0.027 0.563
Si 0.762 0.870 0.675
Si 0.740 0.435 0.104
Si 0.683 0.595 0.287
Si 0.760 0.565 0.604
Si 0.262 0.630 0.325
Si 0.036 0.973 0.063
Si 0.964 0.473 0.437
Si 0.817 0.405 0.787
Si 0.536 0.527 0.937
Si 0.260 0.935 0.396
Si 0.738 0.130 0.175
Si 0.238 0.370 0.825
Si 0.240 0.065 0.896
Si 0.317 0.095 0.213
Si 0.183 0.905 0.713
Li 0.316 0.590 0.670
Li 0.073 0.155 0.534
Li 0.927 0.655 0.966
Li 0.184 0.410 0.170
Li 0.684 0.090 0.830
Li 0.573 0.345 0.466
Li 0.427 0.845 0.034
Li 0.816 0.910 0.330

2.
Computed, not measured: crystalline LiMnSi2O6 at its relaxed geometry at the GGA+U level of DFT.

Cell: 5.435 7.083 13.385 Å, 93.68 92.85 109.61°
Positions (direct):
O 0.984 0.000 0.625
O 0.068 0.140 0.188
O 0.359 0.751 0.500
O 0.809 0.623 0.431
O 0.933 0.860 0.811
O 0.433 0.340 0.838
O 0.425 0.324 0.331
O 0.641 0.249 0.500
O 0.925 0.324 0.831
O 0.484 0.000 0.125
O 0.067 0.660 0.662
O 0.015 0.000 0.375
O 0.432 0.860 0.312
O 0.691 0.377 0.069
O 0.568 0.140 0.689
O 0.075 0.676 0.169
O 0.516 0.001 0.875
O 0.140 0.249 0.000
O 0.309 0.623 0.931
O 0.933 0.340 0.338
O 0.567 0.660 0.162
O 0.575 0.676 0.669
O 0.191 0.377 0.569
O 0.859 0.751 0.000
Li 0.672 0.844 0.422
Li 0.172 0.844 0.922
Li 0.828 0.156 0.078
Li 0.329 0.156 0.578
Mn 0.639 0.778 0.889
Mn 0.139 0.778 0.389
Mn 0.361 0.222 0.111
Mn 0.861 0.223 0.611
Si 0.892 0.804 0.690
Si 0.801 0.620 0.098
Si 0.301 0.620 0.598
Si 0.699 0.380 0.402
Si 0.608 0.196 0.810
Si 0.199 0.380 0.902
Si 0.392 0.804 0.190
Si 0.108 0.196 0.310

3.
Computed, not measured: crystalline LiMnSi3O8 at its relaxed geometry at the GGA+U level of DFT.

Cell: 7.091 7.811 12.239 Å, 84.41 102.50 109.26°
Positions (direct):
O 0.842 0.387 0.348
O 0.775 0.521 0.660
O 0.213 0.277 0.578
O 0.158 0.613 0.652
O 0.658 0.113 0.152
O 0.190 0.813 0.465
O 0.452 0.929 0.647
O 0.952 0.429 0.147
O 0.002 0.710 0.262
O 0.787 0.723 0.422
O 0.483 0.476 0.185
O 0.030 0.857 0.948
O 0.275 0.021 0.160
O 0.725 0.979 0.840
O 0.517 0.524 0.815
O 0.470 0.643 0.553
O 0.970 0.144 0.053
O 0.690 0.313 0.965
O 0.810 0.187 0.535
O 0.017 0.024 0.315
O 0.342 0.887 0.848
O 0.713 0.777 0.078
O 0.983 0.976 0.685
O 0.225 0.479 0.340
O 0.287 0.223 0.922
O 0.530 0.357 0.447
O 0.048 0.571 0.853
O 0.310 0.687 0.035
O 0.502 0.210 0.762
O 0.498 0.790 0.238
O 0.548 0.071 0.353
O 0.998 0.290 0.738
Si 0.992 0.827 0.372
Si 0.510 0.997 0.774
Si 0.315 0.745 0.578
Si 0.185 0.755 0.922
Si 0.492 0.327 0.872
Si 0.008 0.173 0.628
Si 0.990 0.503 0.726
Si 0.685 0.255 0.422
Si 0.815 0.245 0.078
Si 0.508 0.673 0.128
Si 0.010 0.497 0.274
Si 0.490 0.003 0.226
Mn 0.512 0.583 0.363
Mn 0.488 0.417 0.637
Mn 0.988 0.917 0.137
Mn 0.012 0.082 0.863
Li 0.712 0.731 0.909
Li 0.288 0.269 0.091
Li 0.212 0.231 0.409
Li 0.788 0.769 0.591

4.
Computed, not measured: crystalline Li2Mn2Si5O13 at its relaxed geometry at the GGA+U level of DFT.

Computed properties:
- Symmetry: P-1

Cell: 7.598 7.817 10.009 Å, 83.36 68.39 72.10°
Positions (direct):
O 0.015 0.770 0.179
O 0.305 0.163 0.091
O 0.629 0.779 0.189
O 0.448 0.587 0.684
O 0.935 0.319 0.252
O 0.065 0.681 0.748
O 0.371 0.221 0.811
O 0.214 0.387 0.303
O 0.786 0.613 0.697
O 0.223 0.664 0.428
O 0.168 0.052 0.368
O 0.406 0.691 0.072
O 0.780 0.503 0.006
O 0.717 0.682 0.451
O 0.552 0.413 0.316
O 0.220 0.497 0.994
O 0.777 0.336 0.572
O 0.594 0.309 0.928
O 0.283 0.318 0.549
O 0.273 0.927 0.626
O 0.727 0.073 0.374
O 0.209 0.826 0.897
O 0.985 0.230 0.821
O 0.695 0.837 0.909
O 0.791 0.174 0.103
O 0.832 0.948 0.632
Si 0.376 0.295 0.953
Si 0.624 0.705 0.047
Si 0.689 0.553 0.592
Si 0.210 0.695 0.042
Si 0.251 0.758 0.733
Si 0.311 0.447 0.408
Si 0.160 0.221 0.258
Si 0.790 0.305 0.958
Si 0.840 0.779 0.742
Si 0.749 0.242 0.267
Mn 0.040 0.159 0.600
Mn 0.960 0.841 0.400
Mn 0.581 0.175 0.600
Mn 0.419 0.825 0.400
Li 0.790 0.929 0.153
Li 0.210 0.071 0.847
Li 0.154 0.401 0.744
Li 0.846 0.599 0.256

5.
Computed, not measured: crystalline Li2MnSi4O10 at its relaxed geometry at the GGA+U level of DFT.

Computed properties:
- Symmetry: P-1

Cell: 6.975 7.639 9.768 Å, 68.48 77.98 62.87°
Positions (direct):
Si 0.384 0.723 0.142
Si 0.616 0.277 0.858
Si 0.195 0.614 0.762
Si 0.749 0.642 0.745
Si 0.251 0.358 0.255
Si 0.299 0.949 0.814
Si 0.701 0.051 0.186
Si 0.805 0.386 0.238
Mn 0.937 0.307 0.577
Mn 0.063 0.693 0.423
O 0.548 0.864 0.747
O 0.732 0.382 0.406
O 0.952 0.622 0.820
O 0.301 0.924 0.992
O 0.810 0.196 0.195
O 0.268 0.618 0.594
O 0.190 0.804 0.805
O 0.696 0.216 0.710
O 0.837 0.808 0.259
O 0.452 0.136 0.253
O 0.347 0.386 0.878
O 0.806 0.627 0.579
O 0.653 0.614 0.122
O 0.694 0.450 0.862
O 0.194 0.373 0.421
O 0.304 0.784 0.290
O 0.306 0.550 0.138
O 0.163 0.192 0.741
O 0.699 0.076 0.008
O 0.048 0.378 0.180
Li 0.533 0.686 0.423
Li 0.139 0.249 0.945
Li 0.467 0.314 0.577
Li 0.861 0.751 0.055

6.
Computed, not measured: crystalline LiMnSi2O6 at its relaxed geometry at the GGA+U level of DFT.

Computed properties:
- Symmetry: Pbca

Cell: 5.385 8.658 18.244 Å, 90.00 90.00 90.00°
Positions (direct):
Si 0.464 0.837 0.276
Si 0.781 0.334 0.526
Si 0.964 0.663 0.276
Si 0.281 0.666 0.974
Si 0.219 0.666 0.474
Si 0.036 0.837 0.776
Si 0.719 0.834 0.474
Si 0.281 0.166 0.526
Si 0.781 0.834 0.974
Si 0.219 0.166 0.026
Si 0.536 0.663 0.776
Si 0.719 0.334 0.026
Si 0.464 0.337 0.224
Si 0.036 0.337 0.724
Si 0.964 0.163 0.224
Si 0.536 0.163 0.724
Mn 0.369 0.846 0.625
Mn 0.869 0.154 0.875
Mn 0.869 0.654 0.625
Mn 0.131 0.346 0.375
Mn 0.631 0.154 0.375
Mn 0.131 0.846 0.125
Mn 0.369 0.346 0.875
Mn 0.631 0.654 0.125
O 0.530 0.991 0.689
O 0.721 0.827 0.565
O 0.808 0.727 0.807
O 0.026 0.832 0.686
O 0.030 0.509 0.689
O 0.934 0.709 0.447
O 0.192 0.273 0.193
O 0.566 0.209 0.553
O 0.066 0.791 0.947
O 0.974 0.168 0.314
O 0.434 0.291 0.053
O 0.434 0.791 0.447
O 0.721 0.327 0.935
O 0.221 0.173 0.935
O 0.808 0.227 0.693
O 0.279 0.673 0.065
O 0.705 0.997 0.936
O 0.970 0.491 0.311
O 0.530 0.491 0.811
O 0.692 0.227 0.193
O 0.474 0.832 0.186
O 0.970 0.991 0.189
O 0.026 0.332 0.814
O 0.566 0.709 0.947
O 0.474 0.332 0.314
O 0.030 0.009 0.811
O 0.295 0.003 0.064
O 0.795 0.497 0.064
O 0.974 0.668 0.186
O 0.192 0.773 0.307
O 0.526 0.168 0.814
O 0.205 0.503 0.936
O 0.795 0.997 0.436
O 0.308 0.773 0.807
O 0.470 0.509 0.189
O 0.779 0.327 0.435
O 0.279 0.173 0.435
O 0.934 0.209 0.053
O 0.221 0.673 0.565
O 0.779 0.827 0.065
O 0.526 0.668 0.686
O 0.295 0.503 0.436
O 0.692 0.727 0.307
O 0.705 0.497 0.564
O 0.205 0.003 0.564
O 0.066 0.291 0.553
O 0.470 0.009 0.311
O 0.308 0.273 0.693
Li 0.871 0.006 0.624
Li 0.129 0.494 0.124
Li 0.629 0.506 0.376
Li 0.371 0.994 0.876
Li 0.371 0.494 0.624
Li 0.129 0.994 0.376
Li 0.871 0.506 0.876
Li 0.629 0.006 0.124

7.
Computed, not measured: crystalline Li2Mn2Si2O7 at its relaxed geometry at the GGA+U level of DFT.

Computed properties:
- Symmetry: Ama2

Cell: 5.441 5.441 13.451 Å, 90.00 90.00 124.23°
Positions (direct):
Mn 0.783 0.343 0.412
Mn 0.343 0.783 0.588
Mn 0.783 0.343 0.088
Mn 0.343 0.783 0.912
Si 0.441 0.668 0.362
Si 0.668 0.441 0.862
Si 0.441 0.668 0.138
Si 0.668 0.441 0.638
O 0.444 0.905 0.061
O 0.905 0.444 0.939
O 0.147 0.330 0.123
O 0.905 0.444 0.561
O 0.753 0.685 0.367
O 0.330 0.147 0.877
O 0.685 0.753 0.633
O 0.435 0.803 0.250
O 0.444 0.905 0.439
O 0.330 0.147 0.623
O 0.753 0.685 0.133
O 0.685 0.753 0.867
O 0.147 0.330 0.377
O 0.803 0.435 0.750
Li 0.007 0.984 0.250
Li 0.984 0.007 0.750
Li 0.016 0.016 0.500
Li 0.016 0.016 0.000

8.
Computed, not measured: crystalline Li3Mn3SiO8 at its relaxed geometry at the GGA+U level of DFT.

Cell: 5.325 7.725 7.725 Å, 86.11 104.79 75.21°
Positions (direct):
Mn 0.000 0.374 0.874
Mn 0.500 0.500 0.000
Mn 0.000 0.874 0.374
Mn 0.500 0.000 0.500
Mn 0.000 0.126 0.626
Mn 0.000 0.626 0.126
O 0.212 0.882 0.618
O 0.734 0.845 0.155
O 0.700 0.258 0.976
O 0.300 0.242 0.524
O 0.266 0.655 0.345
O 0.700 0.024 0.742
O 0.700 0.758 0.476
O 0.300 0.476 0.758
O 0.300 0.742 0.024
O 0.788 0.618 0.882
O 0.788 0.118 0.382
O 0.734 0.345 0.655
O 0.300 0.976 0.258
O 0.700 0.524 0.242
O 0.266 0.155 0.845
O 0.212 0.382 0.118
Li 0.500 0.379 0.379
Li 0.500 0.621 0.621
Li 0.000 0.250 0.250
Li 0.500 0.879 0.879
Li 0.000 0.750 0.750
Li 0.500 0.121 0.121
Si 0.500 0.750 0.250
Si 0.500 0.250 0.750

| no. | electronic total energy (eV/atom) |
| --- | --- |
| 1 | -7.37 |
| 2 | -7.37 |
| 3 | -7.45 |
| 4 | -7.54 |
| 5 | -7.39 |
| 6 | -7.39 |
| 7 | -7.22 |
| 8 | -6.84 |